## VInSe2O8 (PBE+U)

Data for crystalline VInSe2O8 at its relaxed geometry.

Unit cell a=4.8268 b=6.9573 c=10.7882 alpha=90.00 beta=98.10 gamma=90.00
With the nearest neighbours (Å) after each atom.
Fractional coordinates of all 24 atoms:
1 V 0.0000 0.2492 0.0000  1 O 1.62
2 V 0.0000 0.7508 0.0000  1 O 1.62
3 In 0.0882 0.2498 0.4906  6 O 2.15-2.25
4 In 0.0882 0.7502 0.4906  6 O 2.15-2.25
5 Se 0.1920 0.5000 0.7739  3 O 1.74-1.78
6 Se 0.3465 0.0000 0.2385  3 O 1.73-1.78
7 Se 0.5298 0.5000 0.3050  3 O 1.72-1.79
8 Se 0.6390 0.0000 0.6798  3 O 1.72-1.80
9 O 0.0090 0.3039 0.8208  1 Se 1.74
10 O 0.0090 0.6961 0.8208  1 Se 1.74
11 O 0.0286 0.5000 0.6159  1 Se 1.78
12 O 0.0952 0.0000 0.9672  2 V 1.84
13 O 0.1184 0.5000 0.0302  2 V 1.85
14 O 0.1601 0.1991 0.1773  1 Se 1.73
15 O 0.1601 0.8009 0.1773  1 Se 1.73
16 O 0.2140 0.0000 0.3839  1 Se 1.78
17 O 0.2411 0.5000 0.3931  1 Se 1.79
18 O 0.4411 0.1986 0.6323  1 Se 1.72
19 O 0.4411 0.8014 0.6323  1 Se 1.72
20 O 0.6660 0.2464 0.0066  1 V 1.62
21 O 0.6660 0.7536 0.0066  1 V 1.62
22 O 0.6973 0.3001 0.3730  1 Se 1.72
23 O 0.6973 0.6999 0.3730  1 Se 1.72
24 O 0.8782 0.0000 0.5656  1 Se 1.80

**Calculated volume**: 14.94 Å³/atom
**E**: -5.979 eV per atom
**Symmetry**: Pm (6)

## Co7Ru2O12 (PBE+U)

Data for crystalline Co7Ru2O12 at its relaxed geometry.

Unit cell a=5.8773 b=5.8782 c=12.8201 alpha=101.55 beta=101.55 gamma=91.68
With the nearest neighbours (Å) after each atom.
Fractional coordinates of all 42 atoms:
1 Co 0.0000 0.0000 0.0000  6 O 1.95-1.98
2 Co 0.0002 0.5001 0.9999  6 O 1.96-1.97
3 Co 0.1278 0.8699 0.2503  4 O 1.93-1.96
4 Co 0.2199 0.4628 0.4233  4 O 1.93-1.96
5 Co 0.3221 0.3351 0.1640  6 O 1.94-1.97
6 Co 0.3346 0.3231 0.6641  6 O 1.93-1.97
7 Co 0.4641 0.2232 0.9233  4 O 1.93-1.96
8 Co 0.4983 0.9984 0.5005  6 O 1.96-1.97
9 Co 0.5361 0.7776 0.0771  4 O 1.93-1.96
10 Co 0.6625 0.6751 0.3365  6 O 1.94-1.96
11 Co 0.6769 0.6649 0.8362  6 O 1.93-1.97
12 Co 0.7765 0.5340 0.5769  4 O 1.93-1.96
13 Co 0.8692 0.1306 0.7503  4 O 1.93-1.96
14 Co 0.9984 0.9984 0.5005  6 O 1.95-1.97
15 Ru 0.1734 0.6732 0.8260  6 O 2.04-2.07
16 Ru 0.3264 0.8270 0.6745  6 O 2.04-2.07
17 Ru 0.6706 0.1716 0.3260  6 O 2.04-2.08
18 Ru 0.8254 0.3268 0.1742  6 O 2.04-2.08
19 O 0.0821 0.0940 0.1583  3 Co 1.93-1.95, 1 Ru 2.08
20 O 0.0828 0.5546 0.1596  3 Co 1.94-1.97, 1 Ru 2.05
21 O 0.0940 0.0829 0.6589  3 Co 1.93-1.95, 1 Ru 2.07
22 O 0.0963 0.5508 0.6611  2 Co 1.96-1.97, 2 Ru 2.04
23 O 0.2184 0.7512 0.9916  3 Co 1.95-1.98, 1 Ru 2.04
24 O 0.2231 0.2588 0.0062  4 Co 1.93-1.96
25 O 0.2471 0.7807 0.5090  3 Co 1.95-1.97, 1 Ru 2.04
26 O 0.2568 0.2218 0.5063  4 Co 1.93-1.96
27 O 0.4223 0.4312 0.8230  3 Co 1.93-1.96, 1 Ru 2.07
28 O 0.4291 0.4200 0.3231  3 Co 1.94-1.97, 1 Ru 2.07
29 O 0.4432 0.9143 0.3408  3 Co 1.94-1.97, 1 Ru 2.05
30 O 0.4491 0.9036 0.8394  2 Co 1.96-1.97, 2 Ru 2.04
31 O 0.5495 0.0969 0.1612  2 Co 1.96, 2 Ru 2.04
32 O 0.5538 0.0842 0.6603  3 Co 1.93-1.97, 1 Ru 2.05
33 O 0.5686 0.5778 0.6774  3 Co 1.93-1.96, 1 Ru 2.07
34 O 0.5771 0.5687 0.1774  3 Co 1.94-1.96, 1 Ru 2.07
35 O 0.7397 0.7751 0.4942  4 Co 1.93-1.96
36 O 0.7493 0.2159 0.4919  3 Co 1.95-1.97, 1 Ru 2.04
37 O 0.7770 0.7410 0.9939  4 Co 1.93-1.96
38 O 0.7820 0.2497 0.0085  3 Co 1.95-1.98, 1 Ru 2.04
39 O 0.9005 0.4476 0.3392  2 Co 1.96, 2 Ru 2.04
40 O 0.9034 0.9152 0.3421  3 Co 1.93-1.95, 1 Ru 2.08
41 O 0.9159 0.4456 0.8402  3 Co 1.93-1.97, 1 Ru 2.05
42 O 0.9176 0.9057 0.8417  3 Co 1.93-1.95, 1 Ru 2.07

**Relative energy among the computed polymorphs**: 0.000 eV/atom
**Calculated volume**: 10.10 Å³/atom
**E**: -6.434 eV per atom
**Symmetry**: P1 (1)

E of number 2 (Co7Ru2O12)?
-6.434 eV per atom